No. 1
The following is a GGA-PBE calculation of crystalline CaMg at its relaxed geometry, from Materials Project.

Properties
Crystal system: monoclinic
Calculated formation energy: -0.01 eV/atom
Density: 1.67 g/cm3
E_tot: -10.90 eV for the cell shown

Lattice parameters (Å, degrees): 7.094 7.094 8.051 104.21 104.21 29.26
Element x y z (fractional)
1 Ca 0.000 0.000 0.000
2 Ca 0.046 0.046 0.552
3 Ca 0.731 0.731 0.916
4 Mg 0.334 0.334 0.631
5 Mg 0.375 0.375 0.255
6 Mg 0.685 0.685 0.318

---

No. 2
The following is a GGA-PBE calculation of crystalline CaMg5 at its relaxed geometry, from Materials Project.

Properties
Crystal system: hexagonal
Calculated formation energy: 0.09 eV/atom
Density: 1.73 g/cm3
E_tot: -9.49 eV for the cell shown

Lattice parameters (Å, degrees): 3.300 3.300 16.460 90.00 90.00 120.00
Element x y z (fractional)
1 Ca 0.000 0.000 0.000
2 Mg 0.000 0.000 0.337
3 Mg 0.000 0.000 0.663
4 Mg 0.667 0.333 0.176
5 Mg 0.667 0.333 0.500
6 Mg 0.667 0.333 0.824

---

No. 3
The following is a GGA-PBE calculation of crystalline CaMg at its relaxed geometry, from Materials Project.

Properties
Crystal system: monoclinic
Calculated formation energy: -0.05 eV/atom
Density: 1.70 g/cm3
E_tot: -7.43 eV for the cell shown

Lattice parameters (Å, degrees): 6.462 6.462 5.994 107.79 107.79 32.01
Element x y z (fractional)
1 Ca 0.104 0.104 0.318
2 Ca 0.896 0.896 0.682
3 Mg 0.352 0.352 0.155
4 Mg 0.648 0.648 0.845

---

No. 4
The following is a GGA-PBE calculation of crystalline CaMg7 at its relaxed geometry, from Materials Project.

Properties
Crystal system: hexagonal
Calculated formation energy: 0.01 eV/atom
Density: 1.73 g/cm3
E_tot: -13.12 eV for the cell shown

Lattice parameters (Å, degrees): 6.648 6.648 5.258 90.00 90.00 120.00
Element x y z (fractional)
1 Ca 0.000 0.000 0.000
2 Mg 0.005 0.502 0.000
3 Mg 0.170 0.340 0.500
4 Mg 0.170 0.830 0.500
5 Mg 0.498 0.502 0.000
6 Mg 0.498 0.995 0.000
7 Mg 0.660 0.830 0.500
8 Mg 0.667 0.333 0.500

---

No. 5
The following is a GGA-PBE calculation of crystalline CaMg at its relaxed geometry, from Materials Project.

Properties
Crystal system: monoclinic
Calculated formation energy: 0.00 eV/atom
Density: 1.67 g/cm3
E_tot: -10.81 eV for the cell shown

Lattice parameters (Å, degrees): 6.867 6.867 8.278 105.23 105.23 30.74
Element x y z (fractional)
1 Ca 0.000 0.000 0.000
2 Ca 0.052 0.052 0.607
3 Ca 0.694 0.694 0.339
4 Mg 0.335 0.335 0.674
5 Mg 0.398 0.398 0.269
6 Mg 0.731 0.731 0.941

---

No. 6
The following is a GGA-PBE calculation of crystalline CaMg at its relaxed geometry, from Materials Project.

Properties
Calculated formation energy: -0.03 eV/atom
Density: 1.70 g/cm3
E_tot: -22.04 eV for the cell shown

Lattice parameters (Å, degrees): 5.318 5.349 13.228 90.00 90.00 90.00
Element x y z (fractional)
1 Ca 0.500 0.000 0.876
2 Ca 0.000 0.500 0.182
3 Mg 0.500 0.500 0.024
4 Mg 0.000 0.500 0.880
5 Ca 0.500 0.500 0.687
6 Mg 0.000 0.500 0.517
7 Ca 0.500 0.500 0.376
8 Ca 0.000 0.000 0.682
9 Mg 0.000 0.000 0.380
10 Mg 0.500 0.000 0.524
11 Ca 0.500 0.000 0.187
12 Mg 0.000 0.000 0.017